[1]
MnC2O6: optimized geometry, GGA+U.

Properties
ρ = 2.81 g cm⁻³
Energy relative to the elements = -1.713 eV/atom
Calculated volume = 206.7 Å³ per cell
Total DFT energy (no corrections) = -7.437 eV/atom
Magnetization = 0.0 μB/f.u.

Cell: 4.6689 11.2769 4.6690 Å, 78.05 120.00 90.00°
Sites, in units of the cell vectors:
Mn1 0.7500 0.7500 0.5001
Mn2 0.2500 0.2500 0.5000
C1 0.8833 0.3502 0.7665
C2 0.3832 0.8502 0.7665
C3 0.6168 0.1499 0.2335
C4 0.1168 0.6498 0.2336
O1 0.9095 0.1477 0.2683
O2 0.4097 0.6476 0.2683
O3 0.1413 0.3524 0.0570
O4 0.6414 0.8523 0.0572
O5 0.9158 0.3524 0.5062
O6 0.4158 0.8523 0.5061
O7 0.5842 0.1477 0.4937
O8 0.0841 0.6476 0.4939
O9 0.3588 0.1477 0.9430
O10 0.8586 0.6476 0.9428
O11 0.5905 0.3524 0.7317
O12 0.0903 0.8523 0.7316

---

[2]
MnC5O5: optimized geometry, GGA+U.

Properties
ρ = 1.67 g cm⁻³
Energy relative to the elements = -0.787 eV/atom
Calculated volume = 776.9 Å³ per cell
Space group = C2/c
Total DFT energy (no corrections) = -7.600 eV/atom
Magnetization = 0.0 μB/f.u.

Cell: 9.7411 9.7411 14.5642 Å, 56.73 56.73 44.24°
Sites, in units of the cell vectors:
Mn1 0.3013 0.8374 0.7784
Mn2 0.1626 0.6987 0.7216
Mn3 0.6987 0.1626 0.2216
Mn4 0.8374 0.3013 0.2784
C1 0.3926 0.9164 0.8071
C2 0.0836 0.6074 0.6929
C3 0.6074 0.0836 0.1929
C4 0.9164 0.3926 0.3071
C5 0.3070 0.6420 0.9168
C6 0.3580 0.6930 0.5832
C7 0.6930 0.3580 0.0832
C8 0.6420 0.3070 0.4168
C9 0.2710 0.0229 0.6358
C10 0.9771 0.7290 0.8642
C11 0.7290 0.9771 0.3642
C12 0.0229 0.2710 0.1358
C13 0.0298 0.0236 0.8427
C14 0.9764 0.9702 0.6573
C15 0.9702 0.9764 0.1573
C16 0.0236 0.0298 0.3427
C17 0.5636 0.6364 0.7130
C18 0.3636 0.4364 0.7870
C19 0.4364 0.3636 0.2870
C20 0.6364 0.5636 0.2130
O1 0.4515 0.9666 0.8253
O2 0.0334 0.5485 0.6747
O3 0.5485 0.0334 0.1747
O4 0.9666 0.4515 0.3253
O5 0.3080 0.5222 0.0041
O6 0.4778 0.6920 0.4959
O7 0.6920 0.4778 0.9959
O8 0.5222 0.3080 0.5041
O9 0.2496 0.1419 0.5479
O10 0.8581 0.7504 0.9521
O11 0.7504 0.8581 0.4521
O12 0.1419 0.2496 0.0479
O13 0.8624 0.1375 0.8871
O14 0.8625 0.1376 0.6129
O15 0.1376 0.8625 0.1129
O16 0.1375 0.8624 0.3871
O17 0.7270 0.5116 0.6728
O18 0.4884 0.2730 0.8272
O19 0.2730 0.4884 0.3272
O20 0.5116 0.7270 0.1728

---

[3]
MnCO3: optimized geometry, GGA+U.

Properties
ρ = 3.47 g cm⁻³
Energy relative to the elements = -1.741 eV/atom
Calculated volume = 220.2 Å³ per cell
Space group = P2_1/c
Total DFT energy (no corrections) = -7.642 eV/atom
Magnetization = 4.0 μB/f.u.

Cell: 5.3352 5.9708 6.9394 Å, 85.09 90.00 90.00°
Sites, in units of the cell vectors:
Mn1 0.2270 0.4109 0.9052
Mn2 0.7270 0.5891 0.5948
Mn3 0.7730 0.5891 0.0948
Mn4 0.2730 0.4109 0.4052
C1 0.3986 0.9329 0.9519
C2 0.8986 0.0671 0.5481
C3 0.6014 0.0671 0.0481
C4 0.1014 0.9329 0.4519
O1 0.4437 0.7204 0.9574
O2 0.9437 0.2796 0.5426
O3 0.5563 0.2796 0.0426
O4 0.0563 0.7204 0.4574
O5 0.2127 0.0335 0.8787
O6 0.7127 0.9665 0.6213
O7 0.7873 0.9665 0.1213
O8 0.2873 0.0335 0.3787
O9 0.9120 0.5732 0.8390
O10 0.4120 0.4268 0.6610
O11 0.0880 0.4268 0.1610
O12 0.5880 0.5732 0.3390

---

[4]
MnCO3: optimized geometry, GGA+U.

Properties
ρ = 3.41 g cm⁻³
Largest piezoelectric modulus = 39.8 C/m²
Energy relative to the elements = -1.932 eV/atom
Calculated volume = 112.1 Å³ per cell
Space group = Cc
Total DFT energy (no corrections) = -7.833 eV/atom
Magnetization = 5.0 μB/f.u.

Cell: 4.9429 4.9429 5.6217 Å, 72.80 72.80 60.26°
Sites, in units of the cell vectors:
Mn1 0.0774 0.4895 0.9939
Mn2 0.4895 0.0774 0.4939
C1 0.7849 0.1737 0.8745
C2 0.1737 0.7849 0.3745
O1 0.9571 0.7547 0.3113
O2 0.3729 0.5521 0.5089
O3 0.1850 0.0525 0.3089
O4 0.7547 0.9571 0.8113
O5 0.5521 0.3729 0.0089
O6 0.0525 0.1850 0.8089

---

Q: magnetization of number 1 (MnC2O6)?
A: 0.0 μB/f.u.